MgMn4Ag4O16 | PBE+U | optimized geometry

Computed properties:
Calculated formation energy   -1.04 eV/atom
Uncorrected energy   -5.4858 eV per atom
Spin magnetization   2.000 μB/f.u.
Energy above the lowest structure with this stoichiometry   19.5 meV/atom

Unit cell a=5.623 b=8.083 c=8.724 alpha=89.33 beta=83.09 gamma=96.97
Atoms (fractional coordinates):
O 0.016 0.322 0.746
O 0.052 0.921 0.852
O 0.453 0.797 0.715
O 0.756 0.959 0.407
O 0.593 0.205 0.871
O 0.362 0.587 0.368
O 0.253 0.018 0.565
O 0.607 0.422 0.608
O 0.723 0.547 0.894
O 0.969 0.673 0.251
O 0.972 0.283 0.381
O 0.414 0.796 0.125
O 0.929 0.101 0.122
O 0.255 0.475 0.096
O 0.032 0.711 0.615
O 0.529 0.203 0.297
Mg 0.911 0.131 0.897
Ag 0.801 0.763 0.043
Ag 0.338 0.188 0.083
Ag 0.277 0.309 0.521
Ag 0.697 0.687 0.490
Mn 0.797 0.135 0.308
Mn 0.731 0.393 0.774
Mn 0.249 0.631 0.210
Mn 0.201 0.861 0.685